A plane-wave DFT calculation with PBE was carried out for a relaxed structure of Sm6Ni20As13.

Cell: 13.2295 13.2295 3.9484 Å, 90.00 90.00 120.00°
Space group P-6 (No. 174)
Inequivalent atoms, fractional coordinates:
Sm 0.0536 0.8545 0.0000
Sm 0.5199 0.1353 0.5000
Ni 0.0000 0.0000 0.5000
Ni 0.0219 0.5972 0.0000
Ni 0.0894 0.3467 0.5000
Ni 0.1354 0.5575 0.5000
Ni 0.2571 0.7330 0.0000
Ni 0.3100 0.0804 0.0000
Ni 0.3560 0.2510 0.5000
Ni 0.6667 0.3333 0.0000
As 0.0565 0.4331 0.0000
As 0.1004 0.7139 0.5000
As 0.1962 0.0534 0.5000
As 0.3333 0.6667 0.5000
As 0.4700 0.2817 0.0000

***

A plane-wave DFT calculation with PBE was carried out for a relaxed structure of K2AlAuCl6.

Cell: 10.170 10.170 10.170 Å, 90.00 90.00 90.00°
Space group Fm-3m (No. 225)
Inequivalent atoms, fractional coordinates:
K 0.250 0.250 0.250
Al 0.000 0.000 0.000
Au 0.000 0.000 0.500
Cl 0.000 0.000 0.232

***

A plane-wave DFT calculation with PBE was carried out for a relaxed structure of Ti2SiH6O9.

Cell: 11.142 11.142 12.104 Å, 90.00 90.00 90.00°
Space group P4_2/mbc (No. 135)
Inequivalent atoms, fractional coordinates:
Ti 0.018 0.151 0.150
Si 0.222 0.722 0.250
H 0.020 0.569 0.158
H 0.024 0.179 0.384
H 0.026 0.356 0.500
H 0.143 0.282 0.500
O 0.000 0.500 0.111
O 0.008 0.144 0.000
O 0.015 0.112 0.330
O 0.056 0.272 0.500
O 0.095 0.729 0.182
O 0.163 0.229 0.165

***

A plane-wave DFT calculation with PBE was carried out for a relaxed structure of YMg14Cd.

Output
The distance to the lowest polymorph of the same formula comes out at 0.0038 eV per atom.

Cell: 6.4676 6.4676 10.4305 Å, 90.00 90.00 120.00°
Space group P-6m2 (No. 187)
Inequivalent atoms, fractional coordinates:
Y 0.0000 0.0000 0.0000
Mg 0.0114 0.5057 0.0000
Mg 0.1667 0.3333 0.2561
Mg 0.5014 0.0027 0.5000
Mg 0.6667 0.3333 0.2461
Cd 0.0000 0.0000 0.5000

***

A plane-wave DFT calculation with PBE was carried out for a relaxed structure of Mg7Si4.

Output
The distance to the lowest polymorph of the same formula comes out at 0.0280 eV per atom.

Cell: 5.379 6.063 13.831 Å, 99.64 99.40 93.68°
Space group P1 (No. 1)
Inequivalent atoms, fractional coordinates:
Mg 0.000 0.000 0.000
Mg 0.000 0.486 0.961
Mg 0.178 0.436 0.463
Mg 0.250 0.085 0.284
Mg 0.341 0.977 0.499
Mg 0.444 0.643 0.313
Mg 0.498 0.727 0.931
Mg 0.505 0.251 0.989
Mg 0.685 0.104 0.788
Mg 0.741 0.255 0.217
Mg 0.750 0.656 0.530
Mg 0.831 0.712 0.154
Mg 0.837 0.622 0.757
Mg 0.912 0.184 0.608
Si 0.192 0.965 0.815
Si 0.226 0.349 0.794
Si 0.233 0.364 0.140
Si 0.294 0.755 0.653
Si 0.327 0.770 0.117
Si 0.428 0.371 0.646
Si 0.787 0.083 0.399
Si 0.953 0.719 0.353

***

A plane-wave DFT calculation with PBE was carried out for a relaxed structure of SrEuBiSbO6.

Output
The distance to the lowest polymorph of the same formula comes out at 0.0496 eV per atom.

Cell: 8.528 8.528 8.528 Å, 90.00 90.00 90.00°
Space group P222 (No. 16)
Inequivalent atoms, fractional coordinates:
Sr 0.000 0.000 0.000
Sr 0.000 0.000 0.500
Sr 0.500 0.000 0.000
Sr 0.500 0.500 0.500
Eu 0.000 0.500 0.000
Eu 0.000 0.500 0.500
Eu 0.500 0.000 0.500
Eu 0.500 0.500 0.000
Bi 0.250 0.250 0.250
Sb 0.250 0.251 0.750
O 0.021 0.301 0.710
O 0.202 0.213 0.979
O 0.213 0.021 0.703
O 0.290 0.480 0.800
O 0.296 0.288 0.520
O 0.480 0.204 0.787

***

A plane-wave DFT calculation with PBE was carried out for a relaxed structure of AlInS3O12.

Cell: 8.5695 8.5695 22.3361 Å, 90.00 90.00 120.00°
Space group P321 (No. 150)
Inequivalent atoms, fractional coordinates:
Al 0.3333 0.6667 0.0656
Al 0.3333 0.6667 0.2680
Al 0.3333 0.6667 0.7722
In 0.0000 0.0000 0.1041
In 0.0000 0.0000 0.3915
In 0.3333 0.6667 0.5679
S 0.0000 0.2944 0.5000
S 0.0000 0.6927 0.0000
S 0.0360 0.6548 0.6734
S 0.0462 0.3902 0.1686
O 0.0220 0.8190 0.6687
O 0.0279 0.2099 0.1631
O 0.0290 0.2148 0.4455
O 0.0463 0.8133 0.9472
O 0.1000 0.6177 0.6164
O 0.1286 0.4999 0.1138
O 0.1338 0.5058 0.8226
O 0.1437 0.6405 0.3166
O 0.1594 0.6744 0.0133
O 0.1623 0.4729 0.5055
O 0.1618 0.4747 0.2214
O 0.1615 0.6856 0.7233

***

A plane-wave DFT calculation with PBE was carried out for a relaxed structure of Fe3S.

Cell: 5.1672 5.1672 4.2547 Å, 90.00 90.00 120.00°
Space group P6_3/mmc (No. 194)
Inequivalent atoms, fractional coordinates:
Fe 0.1618 0.3235 0.2500
S 0.3333 0.6667 0.7500

***

Computed E_tot (eV for the cell shown) in order:
-231.38 -134.57 -972.63 -30.12 -64.66 -279.12 -635.33 -57.96